# Sm2Mn2O7

An optimized crystal structure of Sm2Mn2O7 (r2SCAN, the Materials Project database).

Calculated values
**Electronic total energy**: -14.778 eV/atom
**Theoretical density**: 6.8 g/cm³

abc: 7.1105 7.1105 7.1105
angles: 60.00 60.00 60.00
Atoms (fractional coordinates):
1 Sm 0.0000 0.0000 0.0000
2 Sm 0.0000 0.0000 0.5000
3 Sm 0.0000 0.5000 0.0000
4 Sm 0.5000 0.0000 0.0000
5 Mn 0.0000 0.5000 0.5000
6 Mn 0.5000 0.0000 0.5000
7 Mn 0.5000 0.5000 0.0000
8 Mn 0.5000 0.5000 0.5000
9 O 0.1250 0.1250 0.1250
10 O 0.1751 0.1751 0.5749
11 O 0.1751 0.5749 0.1751
12 O 0.1751 0.5749 0.5749
13 O 0.4251 0.4251 0.8249
14 O 0.4251 0.8249 0.4251
15 O 0.4251 0.8249 0.8249
16 O 0.5749 0.1751 0.1751
17 O 0.5749 0.1751 0.5749
18 O 0.5749 0.5749 0.1751
19 O 0.8249 0.4251 0.4251
20 O 0.8249 0.4251 0.8249
21 O 0.8249 0.8249 0.4251
22 O 0.8750 0.8750 0.8750



# EuMgSi

An optimized crystal structure of EuMgSi (r2SCAN, the Materials Project database).

Calculated values
**Electronic total energy**: -17.664 eV/atom
**Theoretical density**: 4.7 g/cm³

abc: 7.5958 4.5048 8.3716
angles: 90.00 90.00 90.00
Atoms (fractional coordinates):
1 Eu 0.0160 0.2500 0.1834
2 Eu 0.4840 0.7500 0.6834
3 Eu 0.5160 0.2500 0.3166
4 Eu 0.9840 0.7500 0.8166
5 Mg 0.1447 0.2500 0.5643
6 Mg 0.3553 0.7500 0.0643
7 Mg 0.6447 0.2500 0.9357
8 Mg 0.8553 0.7500 0.4357
9 Si 0.2231 0.7500 0.3894
10 Si 0.2769 0.2500 0.8894
11 Si 0.7231 0.7500 0.1106
12 Si 0.7769 0.2500 0.6106



# SrSn3

An optimized crystal structure of SrSn3 (r2SCAN, the Materials Project database).

Calculated values
**Electronic total energy**: -22.724 eV/atom
**Theoretical density**: 6.2 g/cm³

abc: 7.0251 7.0251 5.6025
angles: 90.00 90.00 120.00
Atoms (fractional coordinates):
1 Sr 0.3333 0.6667 0.2500
2 Sr 0.6667 0.3333 0.7500
3 Sn 0.1455 0.2910 0.7500
4 Sn 0.1455 0.8545 0.7500
5 Sn 0.2910 0.1455 0.2500
6 Sn 0.7090 0.8545 0.7500
7 Sn 0.8545 0.1455 0.2500
8 Sn 0.8545 0.7090 0.2500



# PmMgRh2

An optimized crystal structure of PmMgRh2 (r2SCAN, the Materials Project database).

Calculated values
**Electronic total energy**: -21.106 eV/atom
**Theoretical density**: 8.6 g/cm³

abc: 4.6862 4.6862 4.6862
angles: 60.00 60.00 60.00
Atoms (fractional coordinates):
1 Pm 0.0000 0.0000 0.0000
2 Mg 0.5000 0.5000 0.5000
3 Rh 0.2500 0.2500 0.2500
4 Rh 0.7500 0.7500 0.7500



# Tl2B4O7

An optimized crystal structure of Tl2B4O7 (r2SCAN, the Materials Project database).

Calculated values
**Electronic total energy**: -15.904 eV/atom
**Theoretical density**: 5.4 g/cm³

abc: 6.7437 13.2293 13.4139
angles: 118.98 92.03 91.33
Atoms (fractional coordinates):
1 Tl 0.0248 0.1035 0.4492
2 Tl 0.1143 0.0392 0.9094
3 Tl 0.2210 0.4777 0.0578
4 Tl 0.3090 0.5579 0.4320
5 Tl 0.3986 0.8307 0.3869
6 Tl 0.4467 0.2281 0.1324
7 Tl 0.5533 0.7719 0.8676
8 Tl 0.6014 0.1693 0.6131
9 Tl 0.6910 0.4421 0.5680
10 Tl 0.7790 0.5223 0.9422
11 Tl 0.8857 0.9608 0.0906
12 Tl 0.9752 0.8965 0.5508
13 B 0.0416 0.7096 0.7852
14 B 0.0850 0.3340 0.7336
15 B 0.0861 0.3145 0.3996
16 B 0.0978 0.7574 0.1670
17 B 0.1669 0.4205 0.6111
18 B 0.1715 0.7079 0.9648
19 B 0.2118 0.1580 0.7302
20 B 0.2472 0.7912 0.6845
21 B 0.2644 0.5248 0.8113
22 B 0.3589 0.8670 0.1296
23 B 0.3998 0.1816 0.3565
24 B 0.4027 0.9877 0.7170
25 B 0.5973 0.0123 0.2830
26 B 0.6002 0.8184 0.6435
27 B 0.6411 0.1330 0.8704
28 B 0.7356 0.4752 0.1887
29 B 0.7528 0.2088 0.3155
30 B 0.7882 0.8420 0.2698
31 B 0.8285 0.2921 0.0352
32 B 0.8331 0.5795 0.3889
33 B 0.9022 0.2426 0.8330
34 B 0.9139 0.6855 0.6004
35 B 0.9150 0.6660 0.2664
36 B 0.9584 0.2904 0.2148
37 O 0.0168 0.6935 0.8776
38 O 0.0482 0.3484 0.6318
39 O 0.0698 0.1596 0.8011
40 O 0.0856 0.6769 0.0445
41 O 0.0943 0.3430 0.3066
42 O 0.0961 0.6986 0.2342
43 O 0.1154 0.7163 0.5871
44 O 0.1690 0.4149 0.5070
45 O 0.1696 0.4446 0.8304
46 O 0.1954 0.7805 0.7858
47 O 0.2082 0.2137 0.3745
48 O 0.2342 0.2449 0.7033
49 O 0.2347 0.9128 0.7116
50 O 0.2701 0.8244 0.0219
51 O 0.2855 0.8295 0.2004
52 O 0.2874 0.5055 0.7006
53 O 0.3353 0.6277 0.9008
54 O 0.3369 0.0686 0.6784
55 O 0.4395 0.0793 0.3541
56 O 0.4554 0.7537 0.6594
57 O 0.4833 0.0547 0.8384
58 O 0.5167 0.9453 0.1616
59 O 0.5446 0.2463 0.3406
60 O 0.5605 0.9207 0.6459
61 O 0.6631 0.9314 0.3216
62 O 0.6647 0.3723 0.0992
63 O 0.7126 0.4945 0.2994
64 O 0.7145 0.1705 0.7996
65 O 0.7299 0.1756 0.9781
66 O 0.7653 0.0872 0.2884
67 O 0.7658 0.7551 0.2967
68 O 0.7918 0.7863 0.6255
69 O 0.8046 0.2195 0.2142
70 O 0.8304 0.5554 0.1696
71 O 0.8310 0.5851 0.4930
72 O 0.8846 0.2837 0.4129
73 O 0.9039 0.3014 0.7658
74 O 0.9057 0.6570 0.6934
75 O 0.9144 0.3231 0.9555
76 O 0.9302 0.8404 0.1989
77 O 0.9518 0.6516 0.3682
78 O 0.9832 0.3065 0.1224



# Ac2TlIn

An optimized crystal structure of Ac2TlIn (r2SCAN, the Materials Project database).

Calculated values
**Electronic total energy**: -53.771 eV/atom
**Theoretical density**: 9.2 g/cm³

abc: 5.8242 5.8242 5.8242
angles: 60.00 60.00 60.00
Atoms (fractional coordinates):
1 Ac 0.2500 0.2500 0.2500
2 Ac 0.7500 0.7500 0.7500
3 Tl 0.0000 0.0000 0.0000
4 In 0.5000 0.5000 0.5000



# CeSiPd

An optimized crystal structure of CeSiPd (r2SCAN, the Materials Project database).

Calculated values
**Electronic total energy**: -21.817 eV/atom
**Theoretical density**: 7.3 g/cm³

abc: 10.8155 5.8500 7.9107
angles: 90.00 92.45 90.00
Atoms (fractional coordinates):
1 Ce 0.1299 0.1318 0.3266
2 Ce 0.1299 0.3682 0.8266
3 Ce 0.3601 0.6391 0.4631
4 Ce 0.3601 0.8609 0.9631
5 Ce 0.6399 0.1391 0.0369
6 Ce 0.6399 0.3609 0.5369
7 Ce 0.8701 0.6318 0.1734
8 Ce 0.8701 0.8682 0.6734
9 Si 0.0757 0.6354 0.4650
10 Si 0.0757 0.8646 0.9650
11 Si 0.3563 0.1455 0.6253
12 Si 0.3563 0.3545 0.1253
13 Si 0.6437 0.6455 0.8747
14 Si 0.6437 0.8545 0.3747
15 Si 0.9243 0.1354 0.0350
16 Si 0.9243 0.3646 0.5350
17 Pd 0.1704 0.6075 0.1803
18 Pd 0.1704 0.8925 0.6803
19 Pd 0.4475 0.0993 0.3389
20 Pd 0.4475 0.4007 0.8389
21 Pd 0.5525 0.5993 0.1611
22 Pd 0.5525 0.9007 0.6611
23 Pd 0.8296 0.1075 0.3197
24 Pd 0.8296 0.3925 0.8197



# K2PSe3

An optimized crystal structure of K2PSe3 (r2SCAN, the Materials Project database).

Calculated values
**Electronic total energy**: -11.640 eV/atom
**Theoretical density**: 3.0 g/cm³

abc: 13.8177 12.4815 8.8184
angles: 90.00 91.24 90.00
Atoms (fractional coordinates):
1 K 0.0622 0.2103 0.3316
2 K 0.0622 0.2897 0.8316
3 K 0.2067 0.6036 0.7850
4 K 0.2067 0.8964 0.2850
5 K 0.3129 0.5650 0.3231
6 K 0.3129 0.9350 0.8231
7 K 0.4210 0.2352 0.2249
8 K 0.4210 0.2648 0.7249
9 K 0.5790 0.7352 0.2751
10 K 0.5790 0.7648 0.7751
11 K 0.6871 0.0650 0.1769
12 K 0.6871 0.4350 0.6769
13 K 0.7933 0.1036 0.7150
14 K 0.7933 0.3964 0.2150
15 K 0.9378 0.7103 0.1684
16 K 0.9378 0.7897 0.6684
17 P 0.0682 0.5079 0.4288
18 P 0.0682 0.9921 0.9288
19 P 0.4308 0.5281 0.9372
20 P 0.4308 0.9719 0.4372
21 P 0.5692 0.0281 0.5628
22 P 0.5692 0.4719 0.0628
23 P 0.9318 0.0079 0.0712
24 P 0.9318 0.4921 0.5712
25 Se 0.0317 0.0344 0.6953
26 Se 0.0317 0.4656 0.1953
27 Se 0.1100 0.6766 0.4528
28 Se 0.1100 0.8234 0.9528
29 Se 0.1772 0.0990 0.0319
30 Se 0.1772 0.4010 0.5319
31 Se 0.3164 0.0845 0.4982
32 Se 0.3164 0.4155 0.9982
33 Se 0.4015 0.6904 0.0193
34 Se 0.4015 0.8096 0.5193
35 Se 0.4598 0.5290 0.6940
36 Se 0.4598 0.9710 0.1940
37 Se 0.5402 0.0290 0.8060
38 Se 0.5402 0.4710 0.3060
39 Se 0.5985 0.1904 0.4807
40 Se 0.5985 0.3096 0.9807
41 Se 0.6836 0.5845 0.0018
42 Se 0.6836 0.9155 0.5018
43 Se 0.8228 0.5990 0.4681
44 Se 0.8228 0.9010 0.9681
45 Se 0.8900 0.1766 0.0472
46 Se 0.8900 0.3234 0.5472
47 Se 0.9683 0.5344 0.8047
48 Se 0.9683 0.9656 0.3047



Number 1: formation energy -2.902 eV per atom. Number 2: formation energy -0.510 eV per atom. Number 3: formation energy -0.378 eV per atom. Number 4: formation energy -0.610 eV per atom. Number 5: formation energy -2.246 eV per atom. Number 6: formation energy -0.513 eV per atom. Number 7: formation energy -0.959 eV per atom. Number 8: formation energy -0.977 eV per atom.